Compound: MgCdC2O6
Source: the Materials Project
Functional: PBE
Structure: relaxed

Calculated values
energy: -6.77 eV/atom
theoretical density: 3.97 g/cm3
spin magnetization: 0.00 μB per formula unit

abc: 4.8579 4.8579 15.7656
angles: 90.00 90.00 120.00
Space group R-3 (No. 148, hexagonal axes)
Asymmetric unit:
Mg1 0.0000 0.0000 0.0000 x3
Cd1 0.0000 0.0000 0.5000 x3
C1 0.0000 0.0000 0.2552 x6
O1 0.0313 0.7500 0.7453 x18

Compound: Cd4CN4
Source: the Materials Project
Functional: PBE
Structure: relaxed

Calculated values
energy: -4.71 eV/atom
theoretical density: 6.24 g/cm3
spin magnetization: 0.00 μB per formula unit

abc: 10.835 3.421 14.859
angles: 90.00 90.00 90.00
Space group Pnma (No. 62)
Asymmetric unit:
Cd1 0.100 0.250 0.170 x4
Cd2 0.105 0.750 0.366 x4
Cd3 0.126 0.750 0.975 x4
Cd4 0.147 0.250 0.776 x4
C1 0.133 0.750 0.566 x4
N1 0.010 0.250 0.896 x4
N2 0.054 0.750 0.626 x4
N3 0.213 0.750 0.506 x4
N4 0.214 0.250 0.290 x4